Arrangement one

Zn3B7IO13 | PBE-GGA | relaxed

Summary:
crystal system: orthorhombic

```
Zn3B7IO13
1.0
8.694 0.000 0.000
0.000 8.696 0.000
0.000 0.000 12.300
Zn B I O
12 28 4 52
Direct
0.011 0.027 0.000
0.011 0.473 0.003
0.239 0.251 0.275
0.261 0.251 0.775
0.489 0.027 0.500
0.489 0.473 0.503
0.511 0.527 0.003
0.511 0.973 0.000
0.739 0.749 0.275
0.761 0.749 0.775
0.989 0.527 0.503
0.989 0.973 0.500
0.001 0.002 0.753
0.002 0.497 0.754
0.045 0.751 0.153
0.095 0.750 0.681
0.244 0.753 0.006
0.246 0.903 0.833
0.247 0.598 0.834
0.253 0.598 0.334
0.254 0.903 0.333
0.256 0.753 0.506
0.405 0.750 0.181
0.455 0.751 0.653
0.498 0.497 0.254
0.499 0.002 0.253
0.501 0.998 0.753
0.502 0.503 0.754
0.545 0.249 0.153
0.595 0.250 0.681
0.744 0.247 0.006
0.746 0.097 0.833
0.747 0.402 0.834
0.753 0.402 0.334
0.754 0.097 0.333
0.756 0.247 0.506
0.905 0.250 0.181
0.955 0.249 0.653
0.998 0.503 0.254
0.999 0.998 0.253
0.238 0.250 0.998
0.262 0.250 0.498
0.738 0.750 0.998
0.762 0.750 0.498
0.032 0.162 0.231
0.037 0.909 0.152
0.041 0.331 0.728
0.050 0.591 0.661
0.089 0.541 0.851
0.091 0.943 0.347
0.118 0.673 0.070
0.143 0.824 0.580
0.163 0.484 0.274
0.165 0.024 0.775
0.174 0.873 0.939
0.180 0.636 0.438
0.231 0.750 0.765
0.269 0.750 0.265
0.320 0.636 0.938
0.326 0.873 0.439
0.335 0.024 0.275
0.337 0.484 0.774
0.357 0.824 0.080
0.382 0.673 0.570
0.409 0.943 0.847
0.411 0.541 0.351
0.450 0.591 0.161
0.459 0.331 0.228
0.463 0.909 0.652
0.468 0.162 0.731
0.532 0.838 0.231
0.537 0.091 0.152
0.541 0.669 0.728
0.550 0.409 0.661
0.589 0.459 0.851
0.591 0.057 0.347
0.618 0.327 0.070
0.643 0.176 0.580
0.663 0.516 0.274
0.665 0.976 0.775
0.674 0.127 0.939
0.680 0.364 0.438
0.731 0.250 0.765
0.769 0.250 0.265
0.820 0.364 0.938
0.826 0.127 0.439
0.835 0.976 0.275
0.837 0.516 0.774
0.857 0.176 0.080
0.882 0.327 0.570
0.909 0.057 0.847
0.911 0.459 0.351
0.950 0.409 0.161
0.959 0.669 0.228
0.963 0.091 0.652
0.968 0.838 0.731
```

Arrangement two

Zn3B7IO13 | PBE-GGA | relaxed

Summary:
crystal system: cubic

```
Zn3B7IO13
1.0
0.000 6.117 6.117
6.117 0.000 6.117
6.117 6.117 0.000
Zn B I O
6 14 2 26
Direct
0.250 0.250 0.750
0.250 0.750 0.250
0.250 0.750 0.750
0.750 0.250 0.250
0.750 0.250 0.750
0.750 0.750 0.250
0.000 0.000 0.500
0.000 0.500 0.000
0.000 0.500 0.500
0.170 0.170 0.170
0.170 0.170 0.490
0.170 0.490 0.170
0.490 0.170 0.170
0.500 0.000 0.000
0.500 0.000 0.500
0.500 0.500 0.000
0.670 0.670 0.670
0.670 0.670 0.990
0.670 0.990 0.670
0.990 0.670 0.670
0.000 0.000 0.000
0.500 0.500 0.500
0.046 0.493 0.814
0.046 0.647 0.493
0.046 0.814 0.647
0.147 0.314 0.546
0.147 0.546 0.993
0.147 0.993 0.314
0.250 0.250 0.250
0.314 0.147 0.993
0.314 0.546 0.147
0.314 0.993 0.546
0.493 0.046 0.647
0.493 0.647 0.814
0.493 0.814 0.046
0.546 0.147 0.314
0.546 0.314 0.993
0.546 0.993 0.147
0.647 0.046 0.814
0.647 0.493 0.046
0.647 0.814 0.493
0.750 0.750 0.750
0.814 0.046 0.493
0.814 0.493 0.647
0.814 0.647 0.046
0.993 0.147 0.546
0.993 0.314 0.147
0.993 0.546 0.314
```

The winner here is arrangement one, beating the second structure by 0.007 eV/atom.

Arrangement one

In3B | PBE-GGA | relaxed

Summary:
crystal system: cubic

```
In3B
1.0
0.000 3.566 3.566
3.566 0.000 3.566
3.566 3.566 0.000
In B
3 1
Direct
0.000 0.000 0.000
0.250 0.250 0.250
0.750 0.750 0.750
0.500 0.500 0.500
```

Arrangement two

In3B | PBE-GGA | relaxed

Summary:
crystal system: cubic

```
In3B
1.0
4.444 0.000 0.000
0.000 4.444 0.000
0.000 0.000 4.444
In B
3 1
Direct
0.000 0.000 0.500
0.000 0.500 0.000
0.500 0.000 0.000
0.500 0.500 0.500
```

The winner here is arrangement two, beating the second structure by 0.010 eV/atom.

Arrangement one

InBN2 | PBE-GGA | relaxed

Summary:
crystal system: hexagonal

```
InBN2
1.0
3.459 0.000 0.000
-1.729 2.995 0.000
0.000 0.000 9.890
In B N
2 2 4
Direct
0.000 0.000 0.000
0.000 0.000 0.500
0.333 0.667 0.250
0.667 0.333 0.750
0.333 0.667 0.114
0.333 0.667 0.386
0.667 0.333 0.614
0.667 0.333 0.886
```

Arrangement two

InBN2 | PBE-GGA | relaxed

Summary:
crystal system: trigonal

```
InBN2
1.0
1.730 0.999 4.944
-1.730 0.999 4.944
0.000 -1.998 4.944
In B N
1 1 2
Direct
0.000 0.000 0.000
0.500 0.500 0.500
0.410 0.410 0.410
0.590 0.590 0.590
```

The winner here is arrangement two, beating the second structure by 0.007 eV/atom.